# 1
Material: Y3Al3V2O12
Method: DFT, GGA+U
State: optimized geometry

Cell lengths 10.6807, 10.6807, 10.6807 Å; angles 109.47, 109.47, 109.47 degrees
Positions (direct):
O 0.7093 0.6856 0.0864
O 0.7093 0.5237 0.6229
O 0.4008 0.8144 0.5237
O 0.9008 0.3771 0.5864
O 0.6856 0.0992 0.9763
O 0.0992 0.6229 0.4136
O 0.1229 0.5992 0.9136
O 0.2093 0.5864 0.1856
O 0.0864 0.8771 0.4008
O 0.9008 0.0237 0.3144
O 0.5864 0.1856 0.2093
O 0.7907 0.8771 0.9763
O 0.5864 0.9008 0.3771
O 0.4763 0.5992 0.1856
O 0.1856 0.2093 0.5864
O 0.8144 0.5237 0.4008
O 0.5237 0.6229 0.7093
O 0.9763 0.7907 0.8771
O 0.1229 0.0237 0.2093
O 0.5237 0.4008 0.8144
O 0.4008 0.0864 0.8771
O 0.2907 0.3144 0.9136
O 0.2907 0.4763 0.3771
O 0.3144 0.9136 0.2907
O 0.7907 0.4136 0.8144
O 0.4763 0.3771 0.2907
O 0.6856 0.0864 0.7093
O 0.6229 0.7093 0.5237
O 0.8771 0.9763 0.7907
O 0.5992 0.9136 0.1229
O 0.6229 0.4136 0.0992
O 0.3144 0.9008 0.0237
O 0.4136 0.8144 0.7907
O 0.8771 0.4008 0.0864
O 0.9763 0.6856 0.0992
O 0.0237 0.3144 0.9008
O 0.5992 0.1856 0.4763
O 0.0864 0.7093 0.6856
O 0.3771 0.5864 0.9008
O 0.9136 0.2907 0.3144
O 0.9136 0.1229 0.5992
O 0.4136 0.0992 0.6229
O 0.1856 0.4763 0.5992
O 0.2093 0.1229 0.0237
O 0.0237 0.2093 0.1229
O 0.8144 0.7907 0.4136
O 0.0992 0.9763 0.6856
O 0.3771 0.2907 0.4763
V 0.0000 0.0000 0.5000
V 0.5000 0.0000 0.0000
V 0.5000 0.5000 0.0000
V 0.0000 0.5000 0.0000
V 0.5000 0.0000 0.5000
V 0.0000 0.0000 0.0000
V 0.5000 0.5000 0.5000
V 0.0000 0.5000 0.5000
Al 0.8750 0.2500 0.1250
Al 0.2500 0.6250 0.3750
Al 0.7500 0.8750 0.1250
Al 0.3750 0.6250 0.7500
Al 0.6250 0.7500 0.3750
Al 0.8750 0.1250 0.7500
Al 0.7500 0.3750 0.6250
Al 0.3750 0.2500 0.6250
Al 0.1250 0.7500 0.8750
Al 0.1250 0.8750 0.2500
Al 0.2500 0.1250 0.8750
Al 0.6250 0.3750 0.2500
Y 0.3750 0.7500 0.1250
Y 0.8750 0.6250 0.2500
Y 0.3750 0.1250 0.2500
Y 0.1250 0.2500 0.3750
Y 0.2500 0.8750 0.6250
Y 0.7500 0.6250 0.8750
Y 0.6250 0.8750 0.7500
Y 0.1250 0.3750 0.7500
Y 0.8750 0.7500 0.6250
Y 0.6250 0.2500 0.8750
Y 0.2500 0.3750 0.1250
Y 0.7500 0.1250 0.3750

Results
**Crystal system**: cubic
**Space-group type**: No. 230

***

# 2
Material: K8MgMn4O16
Method: DFT, GGA+U
State: optimized geometry

Cell lengths 6.3117, 7.9929, 11.6296 Å; angles 91.46, 116.44, 91.71 degrees
Positions (direct):
K 0.6208 0.9588 0.2351
K 0.7410 0.3598 0.0507
K 0.1685 0.6902 0.9061
K 0.2097 0.7806 0.4182
K 0.8236 0.2085 0.5925
K 0.5185 0.0019 0.7962
K 0.4684 0.4869 0.7091
K 0.5042 0.4986 0.2707
O 0.8261 0.2650 0.8302
O 0.1512 0.7698 0.6611
O 0.2678 0.4338 0.4139
O 0.7587 0.6709 0.1677
O 0.1818 0.2980 0.0843
O 0.1792 0.0304 0.9556
O 0.7468 0.6758 0.9242
O 0.8521 0.2529 0.3415
O 0.2503 0.1790 0.5545
O 0.7679 0.7603 0.4261
O 0.2955 0.3412 0.8700
O 0.7151 0.8768 0.6296
O 0.2162 0.1067 0.3152
O 0.7900 0.5455 0.6088
O 0.7803 0.9814 0.0607
O 0.1653 0.8020 0.1472
Mn 0.1189 0.2393 0.9235
Mn 0.8561 0.7387 0.5831
Mn 0.8551 0.7696 0.0718
Mn 0.1463 0.2446 0.4054
Mg 0.1181 0.0581 0.1191

Results
**Energy above the most stable polymorph in this dataset**: 15 meV/atom
**Crystal system**: triclinic
**Space-group type**: No. 1

***

# 3
Material: Na3NiO2
Method: DFT, GGA+U
State: optimized geometry

Cell lengths 5.5409, 5.5409, 12.1810 Å; angles 90.00, 90.00, 90.00 degrees
Positions (direct):
Na 0.4800 0.9782 0.1261
Na 0.0495 0.0495 0.5000
Na 0.4782 0.0200 0.8761
Na 0.9782 0.4800 0.8739
Na 0.0200 0.4782 0.1239
Na 0.4505 0.5495 0.7500
Na 0.5495 0.4505 0.2500
Na 0.0218 0.5200 0.3739
Na 0.9800 0.5218 0.6239
Na 0.5218 0.9800 0.3761
Na 0.9505 0.9505 0.0000
Na 0.5200 0.0218 0.6261
Ni 0.5042 0.5042 0.5000
Ni 0.0042 0.9958 0.2500
Ni 0.4958 0.4958 0.0000
Ni 0.9958 0.0042 0.7500
O 0.2665 0.7212 0.9900
O 0.2212 0.2335 0.7400
O 0.2335 0.2212 0.2600
O 0.7665 0.7788 0.7600
O 0.7788 0.7665 0.2400
O 0.7335 0.2788 0.4900
O 0.2788 0.7335 0.5100
O 0.7212 0.2665 0.0100

Results
**Crystal system**: tetragonal
**Space-group type**: No. 92

***

# 4
Material: YFeO3
Method: DFT, GGA+U
State: optimized geometry

Cell lengths 6.1674, 6.1674, 11.8459 Å; angles 90.00, 90.00, 120.00 degrees
Positions (direct):
Fe 0.0000 0.3340 0.0009
Fe 0.3340 0.0000 0.0009
Fe 0.6660 0.6660 0.0009
Fe 0.0000 0.6660 0.5009
Fe 0.3340 0.3340 0.5009
Fe 0.6660 0.0000 0.5009
Y 0.6667 0.3333 0.7334
Y 0.3333 0.6667 0.7334
Y 0.0000 0.0000 0.2756
Y 0.3333 0.6667 0.2334
Y 0.0000 0.0000 0.7756
Y 0.6667 0.3333 0.2334
O 0.3333 0.6667 0.5209
O 0.6407 0.0000 0.3380
O 0.0000 0.6930 0.6654
O 0.6667 0.3333 0.0209
O 0.6930 0.6930 0.1654
O 0.3593 0.3593 0.3380
O 0.3333 0.6667 0.0209
O 0.0000 0.6407 0.3380
O 0.0000 0.0000 0.4778
O 0.6667 0.3333 0.5209
O 0.0000 0.0000 0.9778
O 0.3070 0.3070 0.6654
O 0.6407 0.6407 0.8380
O 0.0000 0.3593 0.8380
O 0.3070 0.0000 0.1654
O 0.0000 0.3070 0.1654
O 0.3593 0.0000 0.8380
O 0.6930 0.0000 0.6654

Results
**Crystal system**: hexagonal
**Space-group type**: No. 185

***

# 5
Material: Li2VF5
Method: DFT, GGA+U
State: optimized geometry

Cell lengths 6.1653, 6.3242, 9.1237 Å; angles 90.00, 90.00, 90.00 degrees
Positions (direct):
F 0.5785 0.7500 0.6813
F 0.9215 0.7500 0.1813
F 0.4164 0.7500 0.2630
F 0.6735 0.5355 0.4343
F 0.5836 0.2500 0.7370
F 0.0836 0.7500 0.7630
F 0.1081 0.7500 0.4492
F 0.3919 0.7500 0.9492
F 0.8919 0.2500 0.5508
F 0.6081 0.2500 0.0508
F 0.3265 0.4645 0.5657
F 0.8265 0.5355 0.9343
F 0.0785 0.2500 0.8187
F 0.9164 0.2500 0.2370
F 0.3265 0.0355 0.5657
F 0.1735 0.4645 0.0657
F 0.6735 0.9645 0.4343
F 0.1735 0.0355 0.0657
F 0.4215 0.2500 0.3187
F 0.8265 0.9645 0.9343
V 0.4356 0.7500 0.4837
V 0.5644 0.2500 0.5163
V 0.0644 0.7500 0.9837
V 0.9356 0.2500 0.0163
Li 0.5484 0.5276 0.8312
Li 0.9516 0.5276 0.3312
Li 0.0484 0.4724 0.6688
Li 0.4516 0.0276 0.1688
Li 0.5484 0.9724 0.8312
Li 0.4516 0.4724 0.1688
Li 0.0484 0.0276 0.6688
Li 0.9516 0.9724 0.3312

Results
**Energy above the most stable polymorph in this dataset**: 61 meV/atom
**Crystal system**: orthorhombic
**Space-group type**: No. 62

***

# 6
Material: Li4V3P8O29
Method: DFT, GGA+U
State: optimized geometry

Cell lengths 9.7566, 9.7678, 14.1561 Å; angles 89.89, 90.42, 119.81 degrees
Positions (direct):
V 0.5606 0.5616 0.2527
V 0.9962 0.5589 0.7477
V 0.4316 0.4321 0.7511
V 0.5689 0.0044 0.7456
V 0.4341 0.9989 0.2512
V 0.9999 0.4319 0.2494
O 0.0066 0.8035 0.4183
O 0.1837 0.6674 0.8283
O 0.6667 0.3343 0.5273
O 0.0847 0.7380 0.6712
O 0.0012 0.7540 0.0657
O 0.5106 0.1848 0.1694
O 0.4640 0.3810 0.3293
O 0.3212 0.8092 0.3320
O 0.3439 0.5286 0.8214
O 0.3395 0.0839 0.3405
O 0.9185 0.6598 0.8413
O 0.3507 0.6691 0.4761
O 0.6611 0.7409 0.1665
O 0.7970 0.0101 0.2407
O 0.4776 0.0964 0.8211
O 0.7425 0.0831 0.8372
O 0.7926 0.9898 0.4186
O 0.1905 0.5093 0.3338
O 0.6554 0.9135 0.6697
O 0.6680 0.1867 0.6757
O 0.5163 0.3318 0.6764
O 0.3821 0.9123 0.6724
O 0.7611 0.7609 0.9286
O 0.3450 0.6768 0.9730
O 0.2086 0.9789 0.5681
O 0.5314 0.6153 0.6711
O 0.9245 0.5398 0.3324
O 0.2515 0.9184 0.1603
O 0.7452 0.9794 0.0645
O 0.0033 0.2312 0.9283
O 0.8078 0.3319 0.1786
O 0.6653 0.3525 0.0285
O 0.0865 0.3442 0.1633
O 0.7952 0.7901 0.7494
O 0.6649 0.4849 0.1795
O 0.6179 0.0806 0.3319
O 0.4843 0.8226 0.8253
O 0.9908 0.2000 0.7456
O 0.3814 0.4755 0.1797
O 0.9857 0.7856 0.2402
O 0.7413 0.6560 0.3400
O 0.2061 0.0008 0.7493
O 0.2063 0.2031 0.2467
O 0.8130 0.4829 0.6771
O 0.7728 0.7887 0.5686
O 0.6199 0.5218 0.8229
O 0.2085 0.2159 0.4245
O 0.2418 0.0004 0.9282
O 0.2571 0.3416 0.6708
O 0.4907 0.6762 0.3271
O 0.3426 0.2578 0.8358
O 0.1041 0.6223 0.1782
O 0.0164 0.2308 0.5661
O 0.0871 0.4685 0.6732
O 0.9087 0.3802 0.8211
O 0.9171 0.2548 0.3397
O 0.5174 0.8970 0.1792
O 0.2427 0.2392 0.0707
Li 0.9917 0.9945 0.4977
Li 0.0920 0.7727 0.9420
Li 0.6911 0.9181 0.9402
Li 0.6679 0.7642 0.4410
Li 0.2328 0.9037 0.4389
Li 0.0966 0.3329 0.4383
Li 0.7751 0.6864 0.0600
Li 0.3183 0.0959 0.0596
P 0.2265 0.3143 0.1567
P 0.3050 0.2222 0.3415
P 0.3344 0.6658 0.3710
P 0.6643 0.3343 0.1328
P 0.7771 0.0831 0.3393
P 0.0853 0.3086 0.6581
P 0.6868 0.7726 0.6580
P 0.7713 0.6811 0.8408
P 0.9156 0.2256 0.8425
P 0.9166 0.6928 0.3391
P 0.0871 0.7669 0.1570
P 0.6636 0.3343 0.6314
P 0.3181 0.0891 0.8398
P 0.2223 0.9094 0.6588
P 0.3372 0.6723 0.8684
P 0.6783 0.9090 0.1572

Results
**Energy above the most stable polymorph in this dataset**: 13 meV/atom
**Crystal system**: triclinic
**Space-group type**: No. 1

***

# 7
Material: Rb2Mn2S3O12
Method: DFT, GGA+U
State: optimized geometry

Cell lengths 10.3575, 10.3575, 10.3575 Å; angles 90.00, 90.00, 90.00 degrees
Positions (direct):
Rb 0.2007 0.2007 0.2007
Rb 0.7007 0.2993 0.7993
Rb 0.2993 0.7993 0.7007
Rb 0.7993 0.7007 0.2993
Rb 0.5661 0.9339 0.0661
Rb 0.4339 0.4339 0.4339
Rb 0.9339 0.0661 0.5661
Rb 0.0661 0.5661 0.9339
O 0.3308 0.7582 0.4178
O 0.1514 0.4974 0.4052
O 0.0251 0.4471 0.2113
O 0.7113 0.4749 0.5529
O 0.1933 0.2475 0.5121
O 0.5251 0.0529 0.7887
O 0.6933 0.2525 0.4879
O 0.9178 0.1692 0.2418
O 0.8308 0.7418 0.5822
O 0.9879 0.8067 0.7475
O 0.7525 0.0121 0.3067
O 0.5026 0.9052 0.3486
O 0.8486 0.9974 0.0948
O 0.2418 0.9178 0.1692
O 0.3067 0.7525 0.0121
O 0.4052 0.1514 0.4974
O 0.5529 0.7113 0.4749
O 0.7887 0.5251 0.0529
O 0.6514 0.0026 0.5948
O 0.5121 0.1933 0.2475
O 0.9052 0.3486 0.5026
O 0.0529 0.7887 0.5251
O 0.7582 0.4178 0.3308
O 0.2582 0.0822 0.6692
O 0.0121 0.3067 0.7525
O 0.5822 0.8308 0.7418
O 0.3486 0.5026 0.9052
O 0.7418 0.5822 0.8308
O 0.2525 0.4879 0.6933
O 0.9471 0.2887 0.9749
O 0.2475 0.5121 0.1933
O 0.4178 0.3308 0.7582
O 0.8067 0.7475 0.9879
O 0.7475 0.9879 0.8067
O 0.4471 0.2113 0.0251
O 0.2887 0.9749 0.9471
O 0.6692 0.2582 0.0822
O 0.2113 0.0251 0.4471
O 0.4879 0.6933 0.2525
O 0.1692 0.2418 0.9178
O 0.4974 0.4052 0.1514
O 0.9749 0.9471 0.2887
O 0.5948 0.6514 0.0026
O 0.0026 0.5948 0.6514
O 0.9974 0.0948 0.8486
O 0.4749 0.5529 0.7113
O 0.0948 0.8486 0.9974
O 0.0822 0.6692 0.2582
S 0.4680 0.7685 0.3740
S 0.2685 0.1260 0.5320
S 0.6260 0.9680 0.7315
S 0.7315 0.6260 0.9680
S 0.3740 0.4680 0.7685
S 0.0320 0.2315 0.8740
S 0.9680 0.7315 0.6260
S 0.7685 0.3740 0.4680
S 0.1260 0.5320 0.2685
S 0.8740 0.0320 0.2315
S 0.5320 0.2685 0.1260
S 0.2315 0.8740 0.0320
Mn 0.8457 0.3457 0.1543
Mn 0.5852 0.0852 0.4148
Mn 0.4148 0.5852 0.0852
Mn 0.9148 0.9148 0.9148
Mn 0.3457 0.1543 0.8457
Mn 0.0852 0.4148 0.5852
Mn 0.6543 0.6543 0.6543
Mn 0.1543 0.8457 0.3457

Results
**Crystal system**: cubic
**Space-group type**: No. 198

***

# 8
Material: SrMgVP2O8
Method: DFT, GGA+U
State: optimized geometry

Cell lengths 5.5620, 7.0055, 9.4844 Å; angles 111.26, 101.13, 98.01 degrees
Positions (direct):
O 0.6219 0.9527 0.3659
O 0.0040 0.7511 0.5747
O 0.3328 0.1992 0.2286
O 0.3781 0.0473 0.6341
O 0.9626 0.1200 0.6990
O 0.1833 0.4506 0.1116
O 0.0374 0.8800 0.3010
O 0.7409 0.0074 0.1362
O 0.8167 0.5494 0.8884
O 0.6672 0.8008 0.7714
O 0.2591 0.9926 0.8638
O 0.3683 0.5842 0.3946
O 0.6317 0.4158 0.6054
O 0.9960 0.2489 0.4253
O 0.3402 0.5259 0.7882
O 0.6598 0.4741 0.2118
Sr 0.2484 0.8010 0.0479
Sr 0.7516 0.1990 0.9521
P 0.8409 0.0240 0.3023
P 0.1591 0.9760 0.6977
P 0.3919 0.4239 0.2341
P 0.6081 0.5761 0.7659
V 0.3572 0.1481 0.4384
V 0.6428 0.8519 0.5616
Mg 0.9896 0.3827 0.6529
Mg 0.0104 0.6173 0.3471

Results
**Energy above the most stable polymorph in this dataset**: 0 meV/atom
**Crystal system**: triclinic
**Space-group type**: No. 2

***

| no. | energy relative to the elements (kJ/mol of formula units) | uncorrected energy (eV for the cell shown) |
| --- | --- | --- |
| 1 | -6565.8 | -658.34 |
| 2 | -5021.6 | -160.68 |
| 3 | -682.7 | -91.22 |
| 4 | -1363.0 | -237.54 |
| 5 | -2428.4 | -174.53 |
| 6 | -10912.0 | -619.51 |
| 7 | -3937.3 | -485.19 |
| 8 | -3727.9 | -188.45 |